{
  "formula": "NdGe2Rh2",
  "functional": "r²SCAN",
  "state": "relaxed",
  "cell": [[-2.079, 2.079, 5.229], [2.079, -2.079, 5.229], [2.079, 2.079, -5.229]],
  "species": ["Nd", "Ge", "Ge", "Rh", "Rh"],
  "frac_coords": [[0.000, 0.000, 0.000], [0.375, 0.375, 0.000], [0.625, 0.625, 0.000], [0.250, 0.750, 0.500], [0.750, 0.250, 0.500]],
  "crystal_system": "tetragonal",
  "formation_enthalpy_0k_ev_per_atom": -0.972,
  "sg": "No. 139"
}

***

{
  "formula": "TaAlZn",
  "functional": "r²SCAN",
  "state": "relaxed",
  "cell": [[8.269, 0.000, 0.000], [0.000, 2.520, 4.305], [0.000, -2.520, 4.305]],
  "species": ["Ta", "Ta", "Ta", "Ta", "Al", "Al", "Al", "Al", "Zn", "Zn", "Zn", "Zn"],
  "frac_coords": [[0.186, 0.000, 0.000], [0.309, 0.671, 0.671], [0.691, 0.671, 0.671], [0.814, 0.000, 0.000], [0.000, 0.502, 0.989], [0.000, 0.989, 0.502], [0.258, 0.337, 0.337], [0.742, 0.337, 0.337], [0.000, 0.501, 0.501], [0.500, 0.163, 0.163], [0.500, 0.163, 0.682], [0.500, 0.682, 0.163]],
  "crystal_system": "orthorhombic",
  "formation_enthalpy_0k_ev_per_atom": -0.318,
  "sg": "No. 38"
}